Entry 1:
VASP calculation (PBE+U) on NiP2H26C8S4N2O2 after structural relaxation.

**Crystal system**: monoclinic
**Mass density**: 1346 kg/m3
**Energy relative to the elements**: -0.410 eV/atom
**Spin magnetization**: 8.000 μB/cell
**Total DFT energy (no corrections)**: -5.2059 eV/atom

a = 10.4352 Å, b = 13.8154 Å, c = 16.6289 Å
α = 90.00°, β = 117.44°, γ = 90.00°
Fractional coordinates of all 180 atoms:
Ni (0.2273, 0.2096, 0.2205)
Ni (0.2273, 0.2904, 0.7205)
Ni (0.7727, 0.7096, 0.2795)
Ni (0.7727, 0.7904, 0.7795)
P (0.2180, 0.5021, 0.6748)
P (0.2180, 0.9979, 0.1748)
P (0.2544, 0.0875, 0.7959)
P (0.2544, 0.4125, 0.2959)
P (0.7456, 0.5875, 0.7041)
P (0.7456, 0.9125, 0.2041)
P (0.7820, 0.0021, 0.8252)
P (0.7820, 0.4979, 0.3252)
H (0.0109, 0.1136, 0.9452)
H (0.0109, 0.3864, 0.4452)
H (0.0210, 0.2265, 0.3952)
H (0.0210, 0.2735, 0.8952)
H (0.0632, 0.2252, 0.5122)
H (0.0632, 0.2748, 0.0122)
H (0.0644, 0.0503, 0.5994)
H (0.0644, 0.4497, 0.0994)
H (0.1054, 0.5717, 0.0865)
H (0.1054, 0.9283, 0.5865)
H (0.1249, 0.5569, 0.2399)
H (0.1249, 0.9431, 0.7399)
H (0.1582, 0.1213, 0.9257)
H (0.1582, 0.3787, 0.4257)
H (0.1834, 0.1235, 0.0325)
H (0.1834, 0.3765, 0.5325)
H (0.2053, 0.7349, 0.0267)
H (0.2053, 0.7651, 0.5267)
H (0.2128, 0.6197, 0.7769)
H (0.2128, 0.8803, 0.2769)
H (0.2152, 0.6894, 0.3930)
H (0.2152, 0.8106, 0.8930)
H (0.2341, 0.1200, 0.4847)
H (0.2341, 0.3800, 0.9847)
H (0.2368, 0.0201, 0.6091)
H (0.2368, 0.4799, 0.1091)
H (0.2716, 0.5897, 0.5316)
H (0.2716, 0.9103, 0.0316)
H (0.2790, 0.6522, 0.9771)
H (0.2790, 0.8478, 0.4771)
H (0.2832, 0.2197, 0.4369)
H (0.2832, 0.2803, 0.9369)
H (0.2862, 0.0275, 0.3763)
H (0.2862, 0.4725, 0.8763)
H (0.3048, 0.5672, 0.2536)
H (0.3048, 0.9328, 0.7536)
H (0.3288, 0.2190, 0.5550)
H (0.3288, 0.2810, 0.0550)
H (0.3370, 0.5453, 0.4616)
H (0.3370, 0.9547, 0.9616)
H (0.3809, 0.6185, 0.7725)
H (0.3809, 0.8815, 0.2725)
H (0.3947, 0.7139, 0.0794)
H (0.3947, 0.7861, 0.5794)
H (0.4037, 0.7125, 0.4413)
H (0.4037, 0.7875, 0.9413)
H (0.4237, 0.5616, 0.9257)
H (0.4237, 0.9384, 0.4257)
H (0.4467, 0.6030, 0.5597)
H (0.4467, 0.8970, 0.0597)
H (0.4482, 0.0375, 0.3664)
H (0.4482, 0.4625, 0.8664)
H (0.5518, 0.5375, 0.1336)
H (0.5518, 0.9625, 0.6336)
H (0.5533, 0.1030, 0.9403)
H (0.5533, 0.3970, 0.4403)
H (0.5763, 0.0616, 0.5743)
H (0.5763, 0.4384, 0.0743)
H (0.5963, 0.2125, 0.0587)
H (0.5963, 0.2875, 0.5587)
H (0.6053, 0.2139, 0.4206)
H (0.6053, 0.2861, 0.9206)
H (0.6191, 0.1185, 0.7275)
H (0.6191, 0.3815, 0.2275)
H (0.6630, 0.0453, 0.0384)
H (0.6630, 0.4547, 0.5384)
H (0.6712, 0.7190, 0.9450)
H (0.6712, 0.7810, 0.4450)
H (0.6952, 0.0672, 0.2464)
H (0.6952, 0.4328, 0.7464)
H (0.7138, 0.5275, 0.1237)
H (0.7138, 0.9725, 0.6237)
H (0.7168, 0.7197, 0.0631)
H (0.7168, 0.7803, 0.5631)
H (0.7210, 0.1522, 0.5229)
H (0.7210, 0.3478, 0.0229)
H (0.7284, 0.0897, 0.9684)
H (0.7284, 0.4103, 0.4684)
H (0.7632, 0.5201, 0.8909)
H (0.7632, 0.9799, 0.3909)
H (0.7659, 0.6200, 0.0153)
H (0.7659, 0.8800, 0.5153)
H (0.7848, 0.1894, 0.1070)
H (0.7848, 0.3106, 0.6070)
H (0.7872, 0.1197, 0.7231)
H (0.7872, 0.3803, 0.2231)
H (0.7947, 0.2349, 0.4733)
H (0.7947, 0.2651, 0.9733)
H (0.8166, 0.6235, 0.4675)
H (0.8166, 0.8765, 0.9675)
H (0.8418, 0.6213, 0.5743)
H (0.8418, 0.8787, 0.0743)
H (0.8751, 0.0569, 0.2601)
H (0.8751, 0.4431, 0.7601)
H (0.8946, 0.0717, 0.4135)
H (0.8946, 0.4283, 0.9135)
H (0.9356, 0.5503, 0.9006)
H (0.9356, 0.9497, 0.4006)
H (0.9368, 0.7252, 0.9878)
H (0.9368, 0.7748, 0.4878)
H (0.9790, 0.7265, 0.1048)
H (0.9790, 0.7735, 0.6048)
H (0.9891, 0.6136, 0.5548)
H (0.9891, 0.8864, 0.0548)
C (0.1025, 0.2463, 0.4637)
C (0.1025, 0.2537, 0.9637)
C (0.1504, 0.5045, 0.1244)
C (0.1504, 0.9955, 0.6244)
C (0.2072, 0.5215, 0.2258)
C (0.2072, 0.9785, 0.7258)
C (0.2465, 0.1990, 0.4866)
C (0.2465, 0.3010, 0.9866)
C (0.2978, 0.7210, 0.0138)
C (0.2978, 0.7790, 0.5138)
C (0.3001, 0.5727, 0.7794)
C (0.3001, 0.9273, 0.2794)
C (0.3142, 0.6983, 0.4572)
C (0.3142, 0.8017, 0.9572)
C (0.3682, 0.5139, 0.8669)
C (0.3682, 0.9861, 0.3669)
C (0.6318, 0.0139, 0.6331)
C (0.6318, 0.4861, 0.1331)
C (0.6858, 0.1983, 0.0428)
C (0.6858, 0.3017, 0.5428)
C (0.6999, 0.0727, 0.7206)
C (0.6999, 0.4273, 0.2206)
C (0.7022, 0.2210, 0.4862)
C (0.7022, 0.2790, 0.9862)
C (0.7535, 0.6990, 0.0134)
C (0.7535, 0.8010, 0.5134)
C (0.7928, 0.0215, 0.2742)
C (0.7928, 0.4785, 0.7742)
C (0.8496, 0.0045, 0.3756)
C (0.8496, 0.4955, 0.8756)
C (0.8975, 0.7463, 0.0363)
C (0.8975, 0.7537, 0.5363)
S (0.0602, 0.0838, 0.1792)
S (0.0602, 0.4162, 0.6792)
S (0.0786, 0.1776, 0.7480)
S (0.0786, 0.3224, 0.2480)
S (0.3649, 0.0986, 0.1773)
S (0.3649, 0.4014, 0.6773)
S (0.4015, 0.1684, 0.7739)
S (0.4015, 0.3316, 0.2739)
S (0.5985, 0.6684, 0.7261)
S (0.5985, 0.8316, 0.2261)
S (0.6351, 0.5986, 0.3227)
S (0.6351, 0.9014, 0.8227)
S (0.9214, 0.6776, 0.7520)
S (0.9214, 0.8224, 0.2520)
S (0.9398, 0.5838, 0.3208)
S (0.9398, 0.9162, 0.8208)
N (0.1136, 0.1458, 0.9665)
N (0.1136, 0.3542, 0.4665)
N (0.3442, 0.6028, 0.5052)
N (0.3442, 0.8972, 0.0052)
N (0.6558, 0.1028, 0.9948)
N (0.6558, 0.3972, 0.4948)
N (0.8864, 0.6458, 0.5335)
N (0.8864, 0.8542, 0.0335)
O (0.1642, 0.5714, 0.5937)
O (0.1642, 0.9286, 0.0937)
O (0.3114, 0.0574, 0.8955)
O (0.3114, 0.4426, 0.3955)
O (0.6886, 0.5574, 0.6045)
O (0.6886, 0.9426, 0.1045)
O (0.8358, 0.0714, 0.9063)
O (0.8358, 0.4286, 0.4063)

***

Entry 2:
VASP calculation (PBE+U) on MgMn3VCr2P6O24 after structural relaxation.

**Crystal system**: triclinic
**Mass density**: 3175 kg/m3
**Energy relative to the elements**: -2.494 eV/atom
**Spin magnetization**: 20.001 μB/cell
**Total DFT energy (no corrections)**: -7.3994 eV/atom
**Energy relative to the lowest polymorph listed for this composition**: 34 meV per atom

a = 8.6377 Å, b = 8.6786 Å, c = 8.7015 Å
α = 119.55°, β = 117.88°, γ = 90.16°
Fractional coordinates of all 37 atoms:
Mg (0.0000, 0.0000, 0.0000)
Mn (0.2054, 0.4075, 0.8122)
Mn (0.3576, 0.1369, 0.2464)
Mn (0.8090, 0.6046, 0.2025)
V (0.6414, 0.8858, 0.7638)
Cr (0.2303, 0.7510, 0.4802)
Cr (0.7633, 0.2585, 0.5120)
P (0.5070, 0.2135, 0.7098)
P (0.5141, 0.5120, 0.3090)
P (0.5272, 0.8155, 0.0355)
P (0.9725, 0.2917, 0.2799)
P (0.9754, 0.6889, 0.9759)
P (0.9927, 0.0020, 0.6954)
O (0.0275, 0.8509, 0.5328)
O (0.1464, 0.2395, 0.2905)
O (0.1463, 0.8488, 0.0864)
O (0.1549, 0.0673, 0.9165)
O (0.3212, 0.2439, 0.6538)
O (0.3373, 0.4272, 0.0993)
O (0.3524, 0.6762, 0.9393)
O (0.4723, 0.6670, 0.4778)
O (0.4748, 0.0053, 0.6606)
O (0.4996, 0.8316, 0.8482)
O (0.5605, 0.2015, 0.5553)
O (0.5634, 0.0184, 0.2137)
O (0.5681, 0.3720, 0.3751)
O (0.6638, 0.3496, 0.9319)
O (0.6813, 0.6056, 0.3336)
O (0.7031, 0.7665, 0.1251)
O (0.8101, 0.7559, 0.8768)
O (0.8128, 0.1267, 0.0550)
O (0.8205, 0.9327, 0.6944)
O (0.9456, 0.2985, 0.4453)
O (0.9550, 0.5006, 0.7935)
O (0.9572, 0.1591, 0.6585)
O (0.9919, 0.6647, 0.1479)
O (0.9942, 0.4865, 0.3147)

***

Entry 3:
VASP calculation (PBE+U) on Li2VSi6O15 after structural relaxation.

**Crystal system**: monoclinic
**Mass density**: 2280 kg/m3
**Energy relative to the elements**: -3.012 eV/atom
**Total DFT energy (no corrections)**: -7.4978 eV/atom
**Energy relative to the lowest polymorph listed for this composition**: 40 meV per atom

a = 7.4405 Å, b = 7.4405 Å, c = 15.2957 Å
α = 104.59°, β = 104.59°, γ = 58.23°
Fractional coordinates of all 48 atoms:
Li (0.1554, 0.8446, 0.5000)
Li (0.3433, 0.8735, 0.9180)
Li (0.8446, 0.1554, 0.0000)
Li (0.8735, 0.3433, 0.4180)
V (0.4240, 0.8786, 0.4366)
V (0.8786, 0.4240, 0.9366)
Si (0.0315, 0.8398, 0.2936)
Si (0.1115, 0.2697, 0.5913)
Si (0.1262, 0.1584, 0.2752)
Si (0.1584, 0.1262, 0.7752)
Si (0.1941, 0.5464, 0.1042)
Si (0.2697, 0.1115, 0.0913)
Si (0.5464, 0.1941, 0.6042)
Si (0.5592, 0.6377, 0.1009)
Si (0.6356, 0.7862, 0.8074)
Si (0.6377, 0.5592, 0.6009)
Si (0.7862, 0.6356, 0.3074)
Si (0.8398, 0.0315, 0.7936)
O (0.0120, 0.5621, 0.0163)
O (0.0173, 0.3541, 0.8328)
O (0.0196, 0.4123, 0.3178)
O (0.0845, 0.6959, 0.1943)
O (0.0909, 0.9509, 0.7853)
O (0.1245, 0.1282, 0.9912)
O (0.1252, 0.1387, 0.6667)
O (0.1282, 0.1245, 0.4912)
O (0.1387, 0.1252, 0.1667)
O (0.2305, 0.7651, 0.3759)
O (0.2964, 0.3396, 0.6227)
O (0.3378, 0.6268, 0.0800)
O (0.3396, 0.2964, 0.1227)
O (0.3541, 0.0173, 0.3328)
O (0.4123, 0.0196, 0.8178)
O (0.4537, 0.7248, 0.5350)
O (0.4879, 0.8772, 0.0819)
O (0.5621, 0.0120, 0.5163)
O (0.6122, 0.6557, 0.7074)
O (0.6268, 0.3378, 0.5800)
O (0.6406, 0.6758, 0.8881)
O (0.6557, 0.6122, 0.2074)
O (0.6758, 0.6406, 0.3881)
O (0.6959, 0.0845, 0.6943)
O (0.7248, 0.4537, 0.0350)
O (0.7651, 0.2305, 0.8759)
O (0.8312, 0.8373, 0.8215)
O (0.8373, 0.8312, 0.3215)
O (0.8772, 0.4879, 0.5819)
O (0.9509, 0.0909, 0.2853)